1.
This record from Materials Project describes a relaxed ReTeSeCl4 crystal. The functional is PBE-GGA.

Computed properties:
E_tot: -4.38 eV/atom
Magnetic moment: 0.0 μB per formula unit
Energy of formation: -949 meV per atom
V: 30.79 A^3/atom

a = 10.497 Å, b = 10.497 Å, c = 10.497 Å
α = 115.75°, β = 115.75°, γ = 97.53°
Atoms (fractional coordinates):
1 Re 0.558 0.209 0.413
2 Re 0.791 0.204 0.349
3 Re 0.796 0.145 0.587
4 Re 0.855 0.442 0.651
5 Te 0.083 0.668 0.990
6 Te 0.332 0.322 0.415
7 Te 0.678 0.093 0.010
8 Te 0.907 0.917 0.585
9 Se 0.023 0.302 0.628
10 Se 0.605 0.977 0.279
11 Se 0.673 0.395 0.372
12 Se 0.698 0.327 0.721
13 Cl 0.023 0.626 0.166
14 Cl 0.057 0.647 0.702
15 Cl 0.143 0.977 0.604
16 Cl 0.304 0.604 0.063
17 Cl 0.330 0.111 0.128
18 Cl 0.353 0.055 0.411
19 Cl 0.374 0.540 0.396
20 Cl 0.396 0.459 0.701
21 Cl 0.460 0.857 0.834
22 Cl 0.541 0.241 0.937
23 Cl 0.645 0.943 0.589
24 Cl 0.759 0.696 0.299
25 Cl 0.798 0.670 0.782
26 Cl 0.889 0.016 0.218
27 Cl 0.945 0.355 0.298
28 Cl 0.984 0.202 0.872

---

2.
This record from Materials Project describes a relaxed Tl5Re6Se8Cl7 crystal. The functional is PBE-GGA.

Computed properties:
E_tot: -5.60 eV/atom
Magnetic moment: 0.0 μB per formula unit
Energy of formation: -865 meV per atom
V: 26.96 A^3/atom

a = 18.455 Å, b = 18.455 Å, c = 18.455 Å
α = 30.11°, β = 30.11°, γ = 30.11°
Atoms (fractional coordinates):
1 Tl 0.000 0.000 0.000
2 Tl 0.097 0.399 0.795
3 Tl 0.194 0.194 0.194
4 Tl 0.295 0.899 0.597
5 Tl 0.399 0.795 0.097
6 Tl 0.500 0.500 0.500
7 Tl 0.597 0.295 0.899
8 Tl 0.694 0.694 0.694
9 Tl 0.795 0.097 0.399
10 Tl 0.899 0.597 0.295
11 Re 0.009 0.695 0.899
12 Re 0.185 0.295 0.499
13 Re 0.195 0.509 0.399
14 Re 0.295 0.499 0.185
15 Re 0.399 0.195 0.509
16 Re 0.499 0.185 0.295
17 Re 0.509 0.399 0.195
18 Re 0.685 0.999 0.795
19 Re 0.695 0.899 0.009
20 Re 0.795 0.685 0.999
21 Re 0.899 0.009 0.695
22 Re 0.999 0.795 0.685
23 Se 0.094 0.305 0.701
24 Se 0.100 0.493 0.889
25 Se 0.201 0.805 0.594
26 Se 0.288 0.288 0.288
27 Se 0.305 0.701 0.094
28 Se 0.389 0.993 0.600
29 Se 0.406 0.406 0.406
30 Se 0.493 0.889 0.100
31 Se 0.594 0.201 0.805
32 Se 0.600 0.389 0.993
33 Se 0.701 0.094 0.305
34 Se 0.788 0.788 0.788
35 Se 0.805 0.594 0.201
36 Se 0.889 0.100 0.493
37 Se 0.906 0.906 0.906
38 Se 0.993 0.600 0.389
39 Cl 0.105 0.105 0.105
40 Cl 0.198 0.721 0.477
41 Cl 0.218 0.496 0.972
42 Cl 0.221 0.698 0.977
43 Cl 0.472 0.996 0.718
44 Cl 0.477 0.198 0.721
45 Cl 0.496 0.972 0.218
46 Cl 0.605 0.605 0.605
47 Cl 0.698 0.977 0.221
48 Cl 0.718 0.472 0.996
49 Cl 0.721 0.477 0.198
50 Cl 0.972 0.218 0.496
51 Cl 0.977 0.221 0.698
52 Cl 0.996 0.718 0.472

---

3.
This record from Materials Project describes a relaxed TlRe6Se8Cl3 crystal. The functional is PBE-GGA.

Computed properties:
E_tot: -6.70 eV/atom
Magnetic moment: 0.0 μB per formula unit
Energy of formation: -664 meV per atom
V: 24.94 A^3/atom

a = 9.207 Å, b = 9.278 Å, c = 11.228 Å
α = 90.60°, β = 110.07°, γ = 94.20°
Atoms (fractional coordinates):
1 Tl 0.045 0.345 0.138
2 Tl 0.955 0.655 0.862
3 Re 0.140 0.052 0.648
4 Re 0.299 0.258 0.814
5 Re 0.300 0.261 0.579
6 Re 0.392 0.994 0.838
7 Re 0.393 0.993 0.602
8 Re 0.443 0.800 0.232
9 Re 0.557 0.200 0.768
10 Re 0.607 0.007 0.398
11 Re 0.608 0.006 0.162
12 Re 0.700 0.739 0.421
13 Re 0.701 0.742 0.186
14 Re 0.860 0.948 0.352
15 Se 0.061 0.309 0.630
16 Se 0.146 0.050 0.876
17 Se 0.155 0.056 0.418
18 Se 0.235 0.799 0.674
19 Se 0.368 0.059 0.213
20 Se 0.448 0.787 0.460
21 Se 0.450 0.788 0.007
22 Se 0.459 0.452 0.744
23 Se 0.541 0.548 0.256
24 Se 0.550 0.212 0.993
25 Se 0.552 0.213 0.540
26 Se 0.632 0.941 0.787
27 Se 0.765 0.201 0.326
28 Se 0.845 0.944 0.582
29 Se 0.854 0.950 0.124
30 Se 0.939 0.691 0.370
31 Cl 0.174 0.702 0.157
32 Cl 0.235 0.432 0.950
33 Cl 0.244 0.438 0.417
34 Cl 0.756 0.562 0.583
35 Cl 0.765 0.568 0.050
36 Cl 0.826 0.298 0.843

---

4.
This record from Materials Project describes a relaxed ReTe2Cl4 crystal. The functional is PBE-GGA.

Computed properties:
E_tot: -4.26 eV/atom
Magnetic moment: 0.0 μB per formula unit
Energy of formation: -875 meV per atom
V: 32.03 A^3/atom

a = 10.668 Å, b = 10.668 Å, c = 10.668 Å
α = 116.66°, β = 116.66°, γ = 95.90°
Atoms (fractional coordinates):
1 Re 0.634 0.059 0.339
2 Re 0.704 0.366 0.425
3 Re 0.721 0.296 0.661
4 Re 0.941 0.279 0.575
5 Te 0.149 0.154 0.551
6 Te 0.401 0.851 0.005
7 Te 0.464 0.214 0.384
8 Te 0.603 0.599 0.449
9 Te 0.786 0.170 0.250
10 Te 0.830 0.080 0.616
11 Te 0.846 0.397 0.995
12 Te 0.920 0.536 0.750
13 Cl 0.063 0.626 0.170
14 Cl 0.071 0.011 0.259
15 Cl 0.106 0.937 0.563
16 Cl 0.141 0.427 0.575
17 Cl 0.176 0.357 0.848
18 Cl 0.188 0.929 0.940
19 Cl 0.374 0.544 0.437
20 Cl 0.435 0.859 0.286
21 Cl 0.456 0.894 0.830
22 Cl 0.509 0.327 0.152
23 Cl 0.573 0.149 0.714
24 Cl 0.643 0.491 0.818
25 Cl 0.673 0.824 0.182
26 Cl 0.752 0.812 0.741
27 Cl 0.851 0.565 0.425
28 Cl 0.989 0.248 0.060